A plane-wave DFT calculation with PBE was carried out for a relaxed LaTe crystal.

Results
**Energy of formation**: -1.675 eV/atom
**Volume**: 30.49 Å³ per atom
**Symmetry**: No. 221
**Calculated total energy**: -5.5039 eV per atom

Cell and atoms, written as CIF:
```
data_LaTe
_cell_length_a 3.936
_cell_length_b 3.936
_cell_length_c 3.936
_cell_angle_alpha 90.00
_cell_angle_beta 90.00
_cell_angle_gamma 90.00
_space_group_name_H-M_alt 'P 1'
_space_group_IT_number 1
loop_
_space_group_symop_operation_xyz
'x,y,z'
loop_
_atom_site_label
_atom_site_type_symbol
_atom_site_fract_x
_atom_site_fract_y
_atom_site_fract_z
_atom_site_occupancy
La1 La 0.000 0.000 0.000 1
Te1 Te 0.500 0.500 0.500 1
```